[1]
DFT (PBE-GGA) results for a geometry-optimized NpSb3 structure.

a = 6.4656 Å, b = 6.4656 Å, c = 5.8342 Å
α = 90.00°, β = 90.00°, γ = 120.00°
Space group P6_3/mmc (No. 194)
Unique sites:
Np1 0.3333 0.6667 0.2500 (multiplicity 2)
Sb1 0.1730 0.3459 0.7500 (multiplicity 6)

crystal system: hexagonal
E_tot: -6.250 eV/atom

***

[2]
DFT (PBE-GGA) results for a geometry-optimized TiP4O12 structure.

a = 11.813 Å, b = 8.267 Å, c = 10.209 Å
α = 90.00°, β = 119.72°, γ = 90.00°
Space group C2/c (No. 15)
Unique sites:
Ti1 0.000 0.060 0.250 (multiplicity 4)
P1 0.010 0.258 0.979 (multiplicity 8)
P2 0.203 0.486 0.198 (multiplicity 8)
O1 0.029 0.220 0.404 (multiplicity 8)
O2 0.031 0.118 0.899 (multiplicity 8)
O3 0.091 0.377 0.645 (multiplicity 8)
O4 0.143 0.359 0.057 (multiplicity 8)
O5 0.183 0.059 0.311 (multiplicity 8)
O6 0.227 0.417 0.342 (multiplicity 8)

crystal system: monoclinic
relative energy among the computed polymorphs: 22.5 meV/atom
E_tot: -7.468 eV/atom

***

[3]
DFT (PBE-GGA) results for a geometry-optimized Tl3Bi3P4S16 structure.

a = 21.218 Å, b = 13.467 Å, c = 22.651 Å
α = 90.00°, β = 118.32°, γ = 90.00°
Space group P2_1/c (No. 14)
Unique sites:
Tl1 0.009 0.039 0.345 (multiplicity 4)
Tl2 0.107 0.178 0.669 (multiplicity 4)
Tl3 0.138 0.513 0.651 (multiplicity 4)
Tl4 0.373 0.042 0.857 (multiplicity 4)
Tl5 0.411 0.739 0.332 (multiplicity 4)
Tl6 0.479 0.042 0.349 (multiplicity 4)
Bi1 0.129 0.104 0.939 (multiplicity 4)
Bi2 0.181 0.737 0.842 (multiplicity 4)
Bi3 0.194 0.610 0.065 (multiplicity 4)
Bi4 0.292 0.153 0.438 (multiplicity 4)
Bi5 0.337 0.239 0.157 (multiplicity 4)
Bi6 0.352 0.652 0.566 (multiplicity 4)
P1 0.015 0.653 0.714 (multiplicity 4)
P2 0.137 0.656 0.489 (multiplicity 4)
P3 0.156 0.152 0.514 (multiplicity 4)
P4 0.222 0.650 0.228 (multiplicity 4)
P5 0.288 0.187 0.284 (multiplicity 4)
P6 0.335 0.612 0.991 (multiplicity 4)
P7 0.345 0.109 0.014 (multiplicity 4)
P8 0.495 0.682 0.728 (multiplicity 4)
S1 0.010 0.665 0.621 (multiplicity 4)
S2 0.036 0.712 0.263 (multiplicity 4)
S3 0.065 0.550 0.482 (multiplicity 4)
S4 0.081 0.096 0.801 (multiplicity 4)
S5 0.085 0.047 0.512 (multiplicity 4)
S6 0.087 0.710 0.954 (multiplicity 4)
S7 0.097 0.561 0.775 (multiplicity 4)
S8 0.128 0.623 0.141 (multiplicity 4)
S9 0.140 0.183 0.418 (multiplicity 4)
S10 0.145 0.218 0.056 (multiplicity 4)
S11 0.189 0.605 0.437 (multiplicity 4)
S12 0.199 0.154 0.293 (multiplicity 4)
S13 0.214 0.680 0.588 (multiplicity 4)
S14 0.217 0.578 0.305 (multiplicity 4)
S15 0.232 0.564 0.933 (multiplicity 4)
S16 0.233 0.700 0.753 (multiplicity 4)
S17 0.258 0.097 0.568 (multiplicity 4)
S18 0.266 0.138 0.918 (multiplicity 4)
S19 0.276 0.179 0.735 (multiplicity 4)
S20 0.299 0.062 0.071 (multiplicity 4)
S21 0.304 0.603 0.212 (multiplicity 4)
S22 0.308 0.082 0.229 (multiplicity 4)
S23 0.349 0.746 0.954 (multiplicity 4)
S24 0.352 0.639 0.087 (multiplicity 4)
S25 0.374 0.196 0.379 (multiplicity 4)
S26 0.396 0.244 0.052 (multiplicity 4)
S27 0.396 0.635 0.710 (multiplicity 4)
S28 0.403 0.506 0.989 (multiplicity 4)
S29 0.415 0.004 0.016 (multiplicity 4)
S30 0.426 0.092 0.706 (multiplicity 4)
S31 0.482 0.176 0.232 (multiplicity 4)
S32 0.495 0.682 0.636 (multiplicity 4)

crystal system: monoclinic
E_tot: -4.452 eV/atom

***

[4]
DFT (PBE-GGA) results for a geometry-optimized Mg14FeSb structure.

a = 6.2747 Å, b = 6.2747 Å, c = 10.2563 Å
α = 90.00°, β = 90.00°, γ = 120.00°
Space group P-6m2 (No. 187)
Unique sites:
Mg1 0.0000 0.0000 0.2490 (multiplicity 2)
Mg2 0.0079 0.5040 0.2369 (multiplicity 6)
Mg3 0.3312 0.1656 0.0000 (multiplicity 3)
Mg4 0.3320 0.1660 0.5000 (multiplicity 3)
Fe1 0.3333 0.6667 0.0000 (multiplicity 1)
Sb1 0.3333 0.6667 0.5000 (multiplicity 1)

crystal system: hexagonal
relative energy among the computed polymorphs: 0.0 meV/atom
E_tot: -2.147 eV/atom

***

no.,V (Å³/atom)
1,26.40
2,12.73
3,27.39
4,21.86